1.
The following is a DFT calculation (GGA-PBE) of crystalline Na3Cl2 at its relaxed geometry.

Its energy of formation is -1.519 eV per atom. As for the total energy: -2.806 eV per atom. The calculation puts the total energy after the MP2020 corrections at -3.052 eV per atom. The offset from the most stable computed form comes out at 0.0 meV/atom. The calculation puts the calculated volume at 126.3 Å³ per cell.

a = 10.321 Å, b = 10.321 Å, c = 3.528 Å
α = 90.00°, β = 90.00°, γ = 160.36°
Element x y z (fractional)
Na1 0.500 0.500 0.000
Na2 0.331 0.669 0.000
Na3 0.669 0.331 0.000
Cl1 0.913 0.087 0.500
Cl2 0.087 0.913 0.500

=====

2.
The following is a DFT calculation (GGA-PBE) of crystalline NaCl at its relaxed geometry.

Its energy of formation is -2.051 eV per atom. As for the total energy: -3.329 eV per atom. The calculation puts the total energy after the MP2020 corrections at -3.636 eV per atom. The calculation puts the calculated volume at 284.1 Å³ per cell.

a = 6.800 Å, b = 6.800 Å, c = 7.095 Å
α = 90.00°, β = 90.00°, γ = 120.00°
Element x y z (fractional)
Na1 0.000 0.669 0.500
Na2 0.331 0.331 0.500
Na3 0.669 0.000 0.500
Na4 0.000 0.337 0.000
Na5 0.663 0.663 0.000
Na6 0.337 0.000 0.000
Cl1 0.667 0.333 0.250
Cl2 0.667 0.333 0.750
Cl3 0.333 0.667 0.750
Cl4 0.333 0.667 0.250
Cl5 0.000 0.000 0.751
Cl6 0.000 0.000 0.249

=====

3.
The following is a DFT calculation (GGA-PBE) of crystalline NaCl at its relaxed geometry.

Its energy of formation is -2.110 eV per atom. As for the total energy: -3.388 eV per atom. The calculation puts the total energy after the MP2020 corrections at -3.695 eV per atom. The calculation puts the calculated volume at 46.1 Å³ per cell.

a = 4.025 Å, b = 4.025 Å, c = 4.025 Å
α = 60.00°, β = 60.00°, γ = 60.00°
Element x y z (fractional)
Na1 0.000 0.000 0.000
Cl1 0.500 0.500 0.500

=====

4.
The following is a DFT calculation (GGA-PBE) of crystalline NaCl at its relaxed geometry.

Its energy of formation is -1.955 eV per atom. As for the total energy: -3.234 eV per atom. The calculation puts the total energy after the MP2020 corrections at -3.541 eV per atom. The calculation puts the calculated volume at 43.0 Å³ per cell.

a = 3.502 Å, b = 3.502 Å, c = 3.502 Å
α = 90.00°, β = 90.00°, γ = 90.00°
Element x y z (fractional)
Na1 0.000 0.000 0.000
Cl1 0.500 0.500 0.500

=====

5.
The following is a DFT calculation (GGA-PBE) of crystalline Na2Cl at its relaxed geometry.

Its energy of formation is -1.302 eV per atom. As for the total energy: -2.595 eV per atom. The calculation puts the total energy after the MP2020 corrections at -2.800 eV per atom. The offset from the most stable computed form comes out at 0.0 meV/atom. The calculation puts the calculated volume at 90.2 Å³ per cell.

a = 7.102 Å, b = 7.102 Å, c = 7.102 Å
α = 32.16°, β = 32.16°, γ = 32.16°
Element x y z (fractional)
Na1 0.249 0.249 0.249
Na2 0.751 0.751 0.751
Cl1 0.000 0.000 0.000

=====

6.
The following is a DFT calculation (GGA-PBE) of crystalline NaNbCl6 at its relaxed geometry.

Its energy of formation is -1.840 eV per atom. As for the total energy: -4.194 eV per atom. The calculation puts the total energy after the MP2020 corrections at -4.654 eV per atom. The calculation puts the calculated volume at 938.8 Å³ per cell.

a = 7.078 Å, b = 6.657 Å, c = 19.927 Å
α = 89.49°, β = 90.00°, γ = 90.00°
Element x y z (fractional)
Na1 0.811 0.211 0.747
Na2 0.311 0.789 0.753
Na3 0.189 0.789 0.253
Na4 0.689 0.211 0.247
Nb1 0.717 0.743 0.617
Nb2 0.217 0.257 0.883
Nb3 0.283 0.257 0.383
Nb4 0.783 0.743 0.117
Cl1 0.820 0.614 0.235
Cl2 0.320 0.386 0.265
Cl3 0.180 0.386 0.765
Cl4 0.680 0.614 0.735
Cl5 0.603 0.460 0.094
Cl6 0.103 0.540 0.406
Cl7 0.397 0.540 0.906
Cl8 0.897 0.460 0.594
Cl9 0.502 0.918 0.158
Cl10 0.002 0.082 0.342
Cl11 0.498 0.082 0.842
Cl12 0.998 0.918 0.658
Cl13 0.747 0.886 0.012
Cl14 0.247 0.114 0.488
Cl15 0.253 0.114 0.988
Cl16 0.753 0.886 0.512
Cl17 0.959 0.035 0.158
Cl18 0.459 0.965 0.342
Cl19 0.041 0.965 0.842
Cl20 0.541 0.035 0.658
Cl21 0.070 0.593 0.091
Cl22 0.570 0.407 0.409
Cl23 0.930 0.407 0.909
Cl24 0.430 0.593 0.591

=====

7.
The following is a DFT calculation (GGA-PBE) of crystalline Na3NdCl6 at its relaxed geometry.

Its energy of formation is -2.194 eV per atom. As for the total energy: -3.809 eV per atom. The calculation puts the total energy after the MP2020 corrections at -4.177 eV per atom. The calculation puts the calculated volume at 318.2 Å³ per cell.

a = 7.663 Å, b = 7.663 Å, c = 7.663 Å
α = 60.00°, β = 60.00°, γ = 60.00°
Element x y z (fractional)
Na1 0.750 0.750 0.750
Na2 0.250 0.250 0.250
Na3 0.500 0.500 0.500
Nd1 0.000 0.000 0.000
Cl1 0.750 0.250 0.250
Cl2 0.250 0.250 0.750
Cl3 0.250 0.750 0.750
Cl4 0.250 0.750 0.250
Cl5 0.750 0.250 0.750
Cl6 0.750 0.750 0.250

=====

8.
The following is a DFT calculation (GGA-PBE) of crystalline Rb2NaNdCl6 at its relaxed geometry.

Its energy of formation is -2.437 eV per atom. As for the total energy: -3.983 eV per atom. The calculation puts the total energy after the MP2020 corrections at -4.351 eV per atom. The calculation puts the calculated volume at 331.4 Å³ per cell.

a = 7.768 Å, b = 7.768 Å, c = 7.768 Å
α = 60.00°, β = 60.00°, γ = 60.00°
Element x y z (fractional)
Rb1 0.750 0.750 0.750
Rb2 0.250 0.250 0.250
Na1 0.500 0.500 0.500
Nd1 0.000 0.000 0.000
Cl1 0.752 0.248 0.248
Cl2 0.248 0.248 0.752
Cl3 0.248 0.752 0.752
Cl4 0.248 0.752 0.248
Cl5 0.752 0.248 0.752
Cl6 0.752 0.752 0.248